Entry 1:
# Sb5IO7, optimized geometry, DFT PBE-GGA
# * calculated volume: 20.7 A^3/atom
# * final energy: -291.50 eV/cell
# * energy relative to the lowest polymorph listed for this composition: 0 kJ/mol of formula units
# * crystal system: monoclinic
# * magnetization: 0.001 μB/f.u.
# * density: 5.23 g/cm³
data_Sb5IO7
_chemical_formula_sum 'Sb20 I4 O28'
_cell_length_a 13.1261
_cell_length_b 6.9494
_cell_length_c 13.5904
_cell_angle_alpha 60.36
_cell_angle_beta 90.00
_cell_angle_gamma 90.00
_symmetry_space_group_name_H-M 'P 1'
_symmetry_Int_Tables_number 1
loop_
_symmetry_equiv_pos_as_xyz
'x,y,z'
loop_
_atom_site_label
_atom_site_fract_x
_atom_site_fract_y
_atom_site_fract_z
Sb1 0.4457 0.1813 0.0751
Sb2 0.2413 0.5383 0.0655
Sb3 0.7361 0.8580 0.0928
Sb4 0.2417 0.8311 0.2590
Sb5 0.0543 0.1813 0.5751
Sb6 0.9431 0.8351 0.9189
Sb7 0.0569 0.1649 0.0811
Sb8 0.2361 0.1420 0.4072
Sb9 0.9457 0.8187 0.4249
Sb10 0.7417 0.1689 0.2410
Sb11 0.7639 0.8580 0.5928
Sb12 0.7587 0.4617 0.9345
Sb13 0.2587 0.5383 0.5655
Sb14 0.4431 0.1649 0.5811
Sb15 0.7583 0.1689 0.7410
Sb16 0.2639 0.1420 0.9072
Sb17 0.5543 0.8187 0.9249
Sb18 0.7413 0.4617 0.4345
Sb19 0.2583 0.8311 0.7590
Sb20 0.5569 0.8351 0.4189
I1 0.0047 0.4354 0.7562
I2 0.4953 0.4354 0.2562
I3 0.9953 0.5646 0.2438
I4 0.5047 0.5646 0.7438
O1 0.6684 0.5950 0.0031
O2 0.6350 0.9799 0.7828
O3 0.8575 0.9202 0.7787
O4 0.2500 0.8335 0.9139
O5 0.3650 0.0201 0.2172
O6 0.1715 0.0154 0.0423
O7 0.6193 0.5322 0.4963
O8 0.8316 0.5950 0.5031
O9 0.6425 0.9202 0.2787
O10 0.8650 0.9799 0.2828
O11 0.2500 0.8335 0.4139
O12 0.1425 0.0798 0.2213
O13 0.1350 0.0201 0.7172
O14 0.8860 0.9878 0.4959
O15 0.7500 0.1665 0.0861
O16 0.3807 0.4678 0.5037
O17 0.8285 0.9846 0.9577
O18 0.3316 0.4050 0.9969
O19 0.7500 0.1665 0.5861
O20 0.8807 0.5322 0.9963
O21 0.3575 0.0798 0.7213
O22 0.6715 0.9846 0.4577
O23 0.1140 0.0122 0.5041
O24 0.1684 0.4050 0.4969
O25 0.3285 0.0154 0.5423
O26 0.1193 0.4678 0.0037
O27 0.3860 0.0122 0.0041
O28 0.6140 0.9878 0.9959

Entry 2:
# Sb5Xe2F40, optimized geometry, DFT PBE-GGA
# * calculated volume: 17.5 A^3/atom
# * final energy: -167.37 eV/cell
# * crystal system: triclinic
# * magnetization: 3.683 μB/f.u.
# * density: 3.29 g/cm³
data_Sb5Xe2F40
_chemical_formula_sum 'Sb5 Xe2 F40'
_cell_length_a 7.8753
_cell_length_b 8.6567
_cell_length_c 13.3977
_cell_angle_alpha 84.84
_cell_angle_beta 76.79
_cell_angle_gamma 67.62
_symmetry_space_group_name_H-M 'P 1'
_symmetry_Int_Tables_number 1
loop_
_symmetry_equiv_pos_as_xyz
'x,y,z'
loop_
_atom_site_label
_atom_site_fract_x
_atom_site_fract_y
_atom_site_fract_z
Sb1 0.0000 0.0000 0.0000
Sb2 0.1018 0.5110 0.7489
Sb3 0.8982 0.4890 0.2511
Sb4 0.4403 0.7690 0.6421
Sb5 0.5597 0.2310 0.3579
Xe1 0.7749 0.1839 0.6842
Xe2 0.2251 0.8161 0.3158
F1 0.6287 0.0503 0.7623
F2 0.3713 0.9497 0.2377
F3 0.6200 0.3579 0.7944
F4 0.3800 0.6421 0.2056
F5 0.9024 0.9794 0.5966
F6 0.0976 0.0206 0.4034
F7 0.9486 0.2761 0.5843
F8 0.0514 0.7239 0.4157
F9 0.9253 0.0292 0.8689
F10 0.0747 0.9708 0.1311
F11 0.8085 0.2117 0.0435
F12 0.1915 0.7883 0.9565
F13 0.1755 0.1067 0.9481
F14 0.8245 0.8933 0.0519
F15 0.2566 0.6639 0.7300
F16 0.7434 0.3361 0.2700
F17 0.1949 0.4374 0.8709
F18 0.8051 0.5626 0.1291
F19 0.9030 0.6948 0.8230
F20 0.0970 0.3052 0.1770
F21 0.3242 0.3497 0.6716
F22 0.6758 0.6503 0.3284
F23 0.9630 0.3689 0.7706
F24 0.0370 0.6311 0.2294
F25 0.0230 0.6062 0.6256
F26 0.9770 0.3938 0.3744
F27 0.6071 0.8653 0.5640
F28 0.3929 0.1347 0.4360
F29 0.2356 0.9767 0.6770
F30 0.7644 0.0233 0.3230
F31 0.3385 0.7486 0.5293
F32 0.6615 0.2514 0.4707
F33 0.6145 0.5442 0.6167
F34 0.3855 0.4558 0.3833
F35 0.5156 0.7686 0.7672
F36 0.4844 0.2314 0.2328
F37 0.4247 0.2461 0.0069
F38 0.5753 0.7539 0.9931
F39 0.4114 0.4074 0.0296
F40 0.5886 0.5926 0.9704

Entry 3:
# Te2Mo3WSe6, optimized geometry, DFT PBE-GGA
# * calculated volume: 31.7 A^3/atom
# * final energy: -79.03 eV/cell
# * energy relative to the lowest polymorph listed for this composition: 0 kJ/mol of formula units
# * crystal system: trigonal
# * magnetization: 0.000 μB/f.u.
# * density: 5.24 g/cm³
data_Te2Mo3WSe6
_chemical_formula_sum 'Te2 Mo3 W1 Se6'
_cell_length_a 3.3810
_cell_length_b 3.3810
_cell_length_c 38.4296
_cell_angle_alpha 90.00
_cell_angle_beta 90.00
_cell_angle_gamma 120.00
_symmetry_space_group_name_H-M 'P 1'
_symmetry_Int_Tables_number 1
loop_
_symmetry_equiv_pos_as_xyz
'x,y,z'
loop_
_atom_site_label
_atom_site_fract_x
_atom_site_fract_y
_atom_site_fract_z
Te1 0.3333 0.6667 0.7064
Te2 0.3333 0.6667 0.6087
Mo1 0.3333 0.6667 0.0939
Mo2 0.3333 0.6667 0.4697
Mo3 0.6667 0.3333 0.6576
W1 0.6667 0.3333 0.2818
Se1 0.3333 0.6667 0.3250
Se2 0.6667 0.3333 0.0509
Se3 0.6667 0.3333 0.4266
Se4 0.6667 0.3333 0.1370
Se5 0.6667 0.3333 0.5127
Se6 0.3333 0.6667 0.2386

Entry 4:
# Dy3TaO7, optimized geometry, DFT PBE-GGA
# * calculated volume: 13.2 A^3/atom
# * final energy: -190.44 eV/cell
# * energy relative to the lowest polymorph listed for this composition: 270 kJ/mol of formula units
# * crystal system: orthorhombic
# * magnetization: 0.000 μB/f.u.
# * density: 8.93 g/cm³
data_Dy3TaO7
_chemical_formula_sum 'Dy6 Ta2 O14'
_cell_length_a 8.1482
_cell_length_b 8.1482
_cell_length_c 5.3672
_cell_angle_alpha 90.00
_cell_angle_beta 90.00
_cell_angle_gamma 125.42
_symmetry_space_group_name_H-M 'P 1'
_symmetry_Int_Tables_number 1
loop_
_symmetry_equiv_pos_as_xyz
'x,y,z'
loop_
_atom_site_label
_atom_site_fract_x
_atom_site_fract_y
_atom_site_fract_z
Dy1 0.0000 0.5000 0.0000
Dy2 0.5000 0.0000 0.0000
Dy3 0.6196 0.3804 0.4712
Dy4 0.1196 0.8804 0.5288
Dy5 0.8804 0.1196 0.4712
Dy6 0.3804 0.6196 0.5288
Ta1 0.7500 0.7500 0.0000
Ta2 0.2500 0.2500 0.0000
O1 0.7500 0.2500 0.2422
O2 0.8383 0.5996 0.7638
O3 0.9878 0.0122 0.2115
O4 0.4004 0.1617 0.7638
O5 0.3383 0.0996 0.2362
O6 0.0996 0.3383 0.7638
O7 0.5122 0.4878 0.2115
O8 0.4878 0.5122 0.7885
O9 0.9004 0.6617 0.2362
O10 0.5996 0.8383 0.2362
O11 0.6617 0.9004 0.7638
O12 0.0122 0.9878 0.7885
O13 0.1617 0.4004 0.2362
O14 0.2500 0.7500 0.7578